8
Lattice="6.429 0.000 0.000 0.000 6.429 0.000 0.000 0.000 11.436" Properties=species:S:1:pos:R:3 comment="Rb3Mo GGA-PBE relaxed" density_g_cm3=2.5 formation_enthalpy_0k_ev_per_atom=1.21 energy_ev_per_atom=-2.234 magnetic_moment_mub_per_fu=5.008 de_polymorph_mev_per_atom=8 space_group="No. 139" pbc="T T T"
Rb 0.000 0.000 0.000
Rb 0.000 3.215 2.859
Rb 0.000 3.215 8.577
Rb 3.215 0.000 2.859
Rb 3.215 0.000 8.577
Rb 3.215 3.215 5.718
Mo 0.000 0.000 5.718
Mo 3.215 3.215 0.000